Record 1
## YMgAl (PBE)

Data for a relaxed structure of YMgAl.

a = 7.365 Å, b = 7.365 Å, c = 4.558 Å
α = 90.00°, β = 90.00°, γ = 120.00°
Element x y z (fractional)
Y (0.000, 0.433, 0.000)
Y (0.433, 0.000, 0.000)
Y (0.567, 0.567, 0.000)
Mg (0.000, 0.759, 0.500)
Mg (0.241, 0.241, 0.500)
Mg (0.759, 0.000, 0.500)
Al (0.000, 0.000, 0.000)
Al (0.333, 0.667, 0.500)
Al (0.667, 0.333, 0.500)

Results
final energy	-38.4	eV/cell
formation energy from the elements	-96	kJ/mol of formula units

***

Record 2
## HfSiPt (PBE)

Data for a relaxed structure of HfSiPt.

a = 6.595 Å, b = 3.909 Å, c = 7.577 Å
α = 90.00°, β = 90.00°, γ = 90.00°
Element x y z (fractional)
Hf (0.026, 0.250, 0.177)
Hf (0.474, 0.750, 0.677)
Hf (0.526, 0.250, 0.323)
Hf (0.974, 0.750, 0.823)
Si (0.240, 0.750, 0.378)
Si (0.260, 0.250, 0.878)
Si (0.740, 0.750, 0.122)
Si (0.760, 0.250, 0.622)
Pt (0.146, 0.250, 0.566)
Pt (0.354, 0.750, 0.066)
Pt (0.646, 0.250, 0.934)
Pt (0.854, 0.750, 0.434)

Results
final energy	-99.1	eV/cell
formation energy from the elements	-319	kJ/mol of formula units

***

Record 3
## NdCuSb2 (PBE)

Data for a relaxed structure of NdCuSb2.

a = 4.369 Å, b = 4.369 Å, c = 10.136 Å
α = 90.00°, β = 90.00°, γ = 90.00°
Element x y z (fractional)
Nd (0.250, 0.250, 0.249)
Nd (0.750, 0.750, 0.751)
Cu (0.250, 0.750, 0.500)
Cu (0.750, 0.250, 0.500)
Sb (0.250, 0.250, 0.654)
Sb (0.250, 0.750, 0.000)
Sb (0.750, 0.250, 0.000)
Sb (0.750, 0.750, 0.346)

Results
final energy	-39.6	eV/cell
formation energy from the elements	-295	kJ/mol of formula units

***

Record 4
## ZnSnP2O7 (PBE)

Data for a relaxed structure of ZnSnP2O7.

a = 7.240 Å, b = 9.290 Å, c = 9.340 Å
α = 90.00°, β = 110.14°, γ = 90.00°
Element x y z (fractional)
Zn (0.198, 0.055, 0.304)
Zn (0.198, 0.445, 0.804)
Zn (0.802, 0.555, 0.196)
Zn (0.802, 0.945, 0.696)
Sn (0.270, 0.087, 0.918)
Sn (0.270, 0.413, 0.418)
Sn (0.730, 0.587, 0.582)
Sn (0.730, 0.913, 0.082)
P (0.015, 0.711, 0.961)
P (0.015, 0.789, 0.461)
P (0.408, 0.748, 0.730)
P (0.408, 0.752, 0.230)
P (0.592, 0.248, 0.770)
P (0.592, 0.252, 0.270)
P (0.985, 0.211, 0.539)
P (0.985, 0.289, 0.039)
O (0.002, 0.095, 0.660)
O (0.002, 0.405, 0.160)
O (0.013, 0.135, 0.102)
O (0.013, 0.365, 0.602)
O (0.132, 0.189, 0.453)
O (0.132, 0.311, 0.953)
O (0.233, 0.691, 0.081)
O (0.233, 0.809, 0.581)
O (0.364, 0.590, 0.753)
O (0.364, 0.910, 0.253)
O (0.405, 0.239, 0.315)
O (0.405, 0.261, 0.815)
O (0.420, 0.651, 0.360)
O (0.420, 0.849, 0.860)
O (0.580, 0.151, 0.140)
O (0.580, 0.349, 0.640)
O (0.595, 0.739, 0.185)
O (0.595, 0.761, 0.685)
O (0.636, 0.090, 0.747)
O (0.636, 0.410, 0.247)
O (0.767, 0.191, 0.419)
O (0.767, 0.309, 0.919)
O (0.868, 0.689, 0.047)
O (0.868, 0.811, 0.547)
O (0.987, 0.635, 0.398)
O (0.987, 0.865, 0.898)
O (0.998, 0.595, 0.840)
O (0.998, 0.905, 0.340)

Results
final energy	-287.6	eV/cell
ΔE to the lowest computed polymorph	9	meV per atom
formation energy from the elements	-2507	kJ/mol of formula units